w | CaH16O10: optimized geometry, PBE.

Its crystal system is triclinic. The value obtained for the volume is 460.1 Å³/cell.

Unit cell a=6.1725 b=6.3192 c=11.8222 alpha=87.59 beta=89.83 gamma=87.11
Last column: nearest neighbours and their distance in Å.
Positions (direct):
Ca 0.0000 0.0000 0.0000  8 O 2.39-2.61
Ca 0.0049 0.0289 0.5409  7 O 2.41-2.52
H 0.0565 0.6777 0.8370  1 O 0.98
H 0.0572 0.3089 0.3445  1 O 0.97
H 0.0758 0.6712 0.1882  1 O 0.98
H 0.1841 0.2847 0.7203  1 O 0.99
H 0.2675 0.9206 0.3489  1 O 0.98
H 0.2757 0.6063 0.1026  1 O 1.03
H 0.2774 0.8151 0.7252  1 O 1.00
H 0.2804 0.3954 0.6072  1 O 1.04
H 0.2832 0.3627 0.4070  1 O 1.01
H 0.2981 0.6271 0.8982  1 O 1.05
H 0.3448 0.6903 0.4135  1 O 1.05
H 0.3614 0.2676 0.1087  1 O 1.02
H 0.3612 0.2979 0.9047  1 O 1.06
H 0.3640 0.0815 0.8323  1 O 0.97
H 0.3798 0.7293 0.6106  1 O 1.02
H 0.3838 0.0212 0.1341  1 O 0.98
H 0.5506 0.0324 0.6380  1 O 1.00
H 0.6104 0.6974 0.0936  1 O 1.02
H 0.6114 0.2728 0.6182  1 O 1.01
H 0.6183 0.8442 0.9058  1 O 0.97
H 0.6274 0.2710 0.4103  1 O 1.00
H 0.6715 0.0307 0.3661  1 O 0.98
H 0.6966 0.3856 0.9073  1 O 1.02
H 0.7102 0.3347 0.1111  1 O 1.01
H 0.7126 0.8563 0.1777  1 O 0.98
H 0.7177 0.9932 0.8096  1 O 0.98
H 0.7187 0.6250 0.3845  1 O 1.00
H 0.7244 0.6325 0.5975  1 O 1.00
H 0.9337 0.3656 0.8460  1 O 0.97
H 0.9567 0.3159 0.1512  1 O 0.97
H 0.9566 0.7209 0.3713  1 O 1.00
H 0.9690 0.5638 0.6225  1 O 0.99
O 0.1332 0.6960 0.1120  2 H 0.98-1.03
O 0.1423 0.3287 0.6417  2 H 0.99-1.04
O 0.1682 0.2555 0.3981  2 H 0.97-1.01
O 0.1898 0.7419 0.8589  2 H 0.98-1.05
O 0.2208 0.8097 0.4026  2 H 0.98-1.05
O 0.2657 0.1872 0.8648  2 H 0.97-1.06
O 0.2736 0.1387 0.1274  2 H 0.98-1.02
O 0.3169 0.8632 0.6463  2 H 1.00-1.02
O 0.4730 0.4808 0.9457  3 H 1.48-1.55, 1 O 1.49
O 0.4865 0.4781 0.0718  1 O 1.49, 4 H 1.55-1.67
O 0.4891 0.5032 0.5681  1 O 1.50, 2 H 1.55-1.65
O 0.4907 0.5004 0.4414  2 H 1.49-1.65, 1 O 1.50
O 0.6599 0.8475 0.0996  2 H 0.98-1.02
O 0.6715 0.1289 0.6475  2 H 1.00-1.01
O 0.7368 0.1497 0.4017  2 H 0.98-1.00
O 0.7459 0.8650 0.8586  2 H 0.97-0.98
O 0.8125 0.7131 0.3345  2 H 1.00
O 0.8293 0.2883 0.8900  2 H 0.97-1.02
O 0.8336 0.2322 0.1352  2 H 0.97-1.01
O 0.8711 0.6909 0.6075  2 H 0.99-1.00

x | CaH16O10: optimized geometry, PBE.

Its crystal system is monoclinic. The value obtained for the volume is 427.5 Å³/cell.

Unit cell a=6.1420 b=6.1358 c=11.3468 alpha=90.00 beta=91.19 gamma=90.00
Last column: nearest neighbours and their distance in Å.
Positions (direct):
Ca 0.0000 0.0069 0.0000  8 O 2.46-2.55
Ca 0.0000 0.9931 0.5000  8 O 2.46-2.55
H 0.0239 0.4418 0.8868  1 O 0.99
H 0.0239 0.5582 0.3868  1 O 0.99
H 0.0257 0.4417 0.1167  1 O 1.00
H 0.0257 0.5583 0.6167  1 O 1.00
H 0.2666 0.3715 0.8896  1 O 1.00
H 0.2666 0.6285 0.3896  1 O 1.00
H 0.2686 0.3739 0.1076  1 O 1.01
H 0.2686 0.6261 0.6076  1 O 1.01
H 0.2876 0.0810 0.2922  1 O 0.99
H 0.2876 0.9190 0.7922  1 O 0.99
H 0.3639 0.2737 0.6097  1 O 1.01
H 0.3639 0.7263 0.1097  1 O 1.01
H 0.3708 0.2644 0.3891  1 O 1.02
H 0.3708 0.7356 0.8891  1 O 1.02
H 0.4335 0.0313 0.6125  1 O 0.99
H 0.4335 0.9687 0.1125  1 O 0.99
H 0.5555 0.0328 0.8847  1 O 1.00
H 0.5555 0.9672 0.3847  1 O 1.00
H 0.6137 0.2698 0.1096  1 O 1.03
H 0.6137 0.7302 0.6096  1 O 1.03
H 0.6200 0.2774 0.8915  1 O 1.02
H 0.6200 0.7226 0.3915  1 O 1.02
H 0.6879 0.0765 0.2066  1 O 0.98
H 0.6879 0.9235 0.7066  1 O 0.98
H 0.7244 0.3802 0.3902  1 O 1.03
H 0.7244 0.6198 0.8902  1 O 1.03
H 0.7264 0.3778 0.6104  1 O 1.03
H 0.7264 0.6222 0.1104  1 O 1.03
H 0.9144 0.2939 0.7066  1 O 0.99
H 0.9139 0.3053 0.2937  1 O 0.98
H 0.9139 0.6947 0.7937  1 O 0.98
H 0.9144 0.7061 0.2066  1 O 0.99
O 0.1165 0.3119 0.8735  2 H 0.99-1.00
O 0.1165 0.6881 0.3735  2 H 0.99-1.00
O 0.1223 0.3120 0.1290  2 H 1.00-1.01
O 0.1223 0.6880 0.6290  2 H 1.00-1.01
O 0.3040 0.1241 0.6256  2 H 0.99-1.01
O 0.3040 0.8759 0.1256  2 H 0.99-1.01
O 0.3133 0.1105 0.3767  2 H 0.99-1.02
O 0.3133 0.8895 0.8767  2 H 0.99-1.02
O 0.5042 0.4933 0.4334  1 O 1.51, 2 H 1.61-1.65
O 0.5042 0.5067 0.9334  1 O 1.51, 2 H 1.61-1.65
O 0.5053 0.4979 0.0663  1 O 1.51, 2 H 1.62-1.63
O 0.5053 0.5021 0.5663  1 O 1.51, 2 H 1.62-1.63
O 0.6789 0.1166 0.1228  2 H 0.98-1.03
O 0.6789 0.8834 0.6228  2 H 0.98-1.03
O 0.6838 0.1290 0.8722  2 H 1.00-1.02
O 0.6838 0.8710 0.3722  2 H 1.00-1.02
O 0.8767 0.3134 0.3773  2 H 0.98-1.03
O 0.8767 0.6866 0.8773  2 H 0.98-1.03
O 0.8822 0.3199 0.6223  2 H 0.99-1.03
O 0.8822 0.6801 0.1223  2 H 0.99-1.03

Preferred: x; penalty for the next structure: 7 meV/atom.

w | NaCaAlSi2O7: optimized geometry, PBE.

Its crystal system is tetragonal. The value obtained for the volume is 567.5 Å³/cell.

Unit cell a=7.6424 b=7.6424 c=9.7157 alpha=90.00 beta=90.00 gamma=90.00
Last column: nearest neighbours and their distance in Å.
Positions (direct):
Na 0.1401 0.3599 0.4809  3 O 2.18-2.31
Na 0.3599 0.8599 0.5191  3 O 2.18-2.31
Na 0.6401 0.1401 0.5191  3 O 2.18-2.31
Na 0.8599 0.6401 0.4809  3 O 2.18-2.31
Ca 0.1381 0.3619 0.9722  7 O 2.26-2.52
Ca 0.3619 0.8619 0.0278  7 O 2.26-2.52
Ca 0.6381 0.1381 0.0278  7 O 2.26-2.52
Ca 0.8619 0.6381 0.9722  7 O 2.26-2.52
Al 0.0000 0.0000 0.0000  4 O 1.80
Al 0.0000 0.0000 0.5000  4 O 1.80
Al 0.5000 0.5000 0.0000  4 O 1.80
Al 0.5000 0.5000 0.5000  4 O 1.80
Si 0.1491 0.6491 0.1985  4 O 1.55-1.70
Si 0.1489 0.6489 0.6855  4 O 1.63-1.66
Si 0.3511 0.1489 0.3145  4 O 1.63-1.66
Si 0.3509 0.1491 0.8015  4 O 1.55-1.70
Si 0.6489 0.8511 0.3145  4 O 1.63-1.66
Si 0.6491 0.8509 0.8015  4 O 1.55-1.70
Si 0.8509 0.3509 0.1985  4 O 1.55-1.70
Si 0.8511 0.3511 0.6855  4 O 1.63-1.66
O 0.0000 0.5000 0.1473  2 Si 1.69
O 0.0000 0.5000 0.6420  2 Si 1.66
O 0.0786 0.8223 0.1040  1 Si 1.70, 1 Al 1.80
O 0.0830 0.8324 0.6131  1 Si 1.65, 1 Al 1.80
O 0.1483 0.6483 0.8533  1 Si 1.63
O 0.1628 0.6628 0.3572  1 Si 1.55
O 0.1676 0.0830 0.3869  1 Si 1.65, 1 Al 1.80
O 0.1777 0.0786 0.8960  1 Si 1.70, 1 Al 1.80
O 0.3223 0.5786 0.1040  1 Si 1.70, 1 Al 1.80
O 0.3324 0.5830 0.6131  1 Si 1.65, 1 Al 1.80
O 0.3372 0.1628 0.6428  1 Si 1.55
O 0.3517 0.1483 0.1467  1 Si 1.63
O 0.4170 0.3324 0.3869  1 Si 1.65, 1 Al 1.80
O 0.4214 0.3223 0.8960  1 Si 1.70, 1 Al 1.80
O 0.5000 0.0000 0.3580  2 Si 1.66
O 0.5000 0.0000 0.8527  2 Si 1.69
O 0.5786 0.6777 0.8960  1 Si 1.70, 1 Al 1.80
O 0.5830 0.6676 0.3869  1 Si 1.65, 1 Al 1.80
O 0.6483 0.8517 0.1467  1 Si 1.63
O 0.6628 0.8372 0.6428  1 Si 1.55
O 0.6676 0.4170 0.6131  1 Si 1.65, 1 Al 1.80
O 0.6777 0.4214 0.1040  1 Si 1.70, 1 Al 1.80
O 0.8223 0.9214 0.8960  1 Si 1.70, 1 Al 1.80
O 0.8324 0.9170 0.3869  1 Si 1.65, 1 Al 1.80
O 0.8372 0.3372 0.3572  1 Si 1.55
O 0.8517 0.3517 0.8533  1 Si 1.63
O 0.9170 0.1676 0.6131  1 Si 1.65, 1 Al 1.80
O 0.9214 0.1777 0.1040  1 Si 1.70, 1 Al 1.80

x | NaCaAlSi2O7: optimized geometry, PBE.

Its crystal system is orthorhombic. The value obtained for the volume is 303.6 Å³/cell.

Unit cell a=7.7088 b=7.7088 c=5.1082 alpha=90.00 beta=90.00 gamma=90.16
Last column: nearest neighbours and their distance in Å.
Positions (direct):
Na 0.1586 0.1586 0.0000  6 O 2.52-2.65
Na 0.8414 0.8414 0.0000  6 O 2.52-2.65
Ca 0.3355 0.6645 0.9724  6 O 2.35-2.58
Ca 0.6645 0.3355 0.9724  6 O 2.35-2.58
Al 0.0000 0.5000 0.4858  4 O 1.77-1.78
Al 0.5000 0.0000 0.4858  4 O 1.77-1.78
Si 0.1428 0.8572 0.5306  4 O 1.60-1.66
Si 0.3583 0.3583 0.4391  4 O 1.60-1.69
Si 0.6417 0.6417 0.4391  4 O 1.60-1.69
Si 0.8572 0.1428 0.5306  4 O 1.60-1.66
O 0.0000 0.0000 0.6420  2 Si 1.66
O 0.0893 0.6717 0.6762  1 Si 1.66, 1 Al 1.78
O 0.1536 0.8464 0.2178  1 Si 1.60
O 0.1750 0.4180 0.2990  1 Si 1.65, 1 Al 1.77
O 0.3283 0.9107 0.6762  1 Si 1.66, 1 Al 1.78
O 0.3652 0.3652 0.7526  1 Si 1.60
O 0.4180 0.1750 0.2990  1 Si 1.65, 1 Al 1.77
O 0.5000 0.5000 0.3029  2 Si 1.69
O 0.5820 0.8250 0.2990  1 Si 1.65, 1 Al 1.77
O 0.6348 0.6348 0.7526  1 Si 1.60
O 0.6717 0.0893 0.6762  1 Si 1.66, 1 Al 1.78
O 0.8250 0.5820 0.2990  1 Si 1.65, 1 Al 1.77
O 0.8464 0.1536 0.2178  1 Si 1.60
O 0.9107 0.3283 0.6762  1 Si 1.66, 1 Al 1.78

Preferred: x; penalty for the next structure: 222 meV/atom.

w | LiB11: optimized geometry, PBE.

Its crystal system is trigonal. The value obtained for the volume is 87.4 Å³/cell.

Unit cell a=5.1550 b=5.1550 c=5.1550 alpha=55.81 beta=55.81 gamma=55.81
Last column: nearest neighbours and their distance in Å.
Positions (direct):
Li 0.0000 0.0000 0.0000  9 B 2.42-2.44
B 0.0496 0.6687 0.6687  6 B 1.77-1.87
B 0.0532 0.4494 0.4494  6 B 1.74-1.91
B 0.0884 0.0884 0.4475  6 B 1.73-1.87
B 0.0884 0.4475 0.0884  6 B 1.73-1.87
B 0.4314 0.4314 0.4314  6 B 1.77-1.85
B 0.4475 0.0884 0.0884  6 B 1.73-1.87
B 0.4494 0.0532 0.4494  6 B 1.74-1.91
B 0.4494 0.4494 0.0532  6 B 1.74-1.91
B 0.6687 0.0496 0.6687  6 B 1.77-1.87
B 0.6687 0.6687 0.0496  6 B 1.77-1.87
B 0.6854 0.6854 0.6854  6 B 1.74-1.78

x | LiB11: optimized geometry, PBE.

Its crystal system is tetragonal. The value obtained for the volume is 82.7 Å³/cell.

Unit cell a=4.7539 b=4.7539 c=4.7539 alpha=110.19 beta=110.19 gamma=108.05
Last column: nearest neighbours and their distance in Å.
Positions (direct):
Li 0.0000 0.0000 0.0000  12 B 2.40-2.59
B 0.2500 0.7500 0.5000  6 B 1.79-1.81
B 0.3726 0.5859 0.7867  6 B 1.79-1.90
B 0.4141 0.2008 0.7867  6 B 1.79-1.90
B 0.4141 0.6274 0.2133  6 B 1.79-1.90
B 0.5474 0.0474 0.0949  4 B 1.86
B 0.5474 0.4526 0.5000  4 B 1.86
B 0.5697 0.0697 0.5000  7 B 1.79-1.86
B 0.7992 0.5859 0.2133  6 B 1.79-1.90
B 0.9303 0.4303 0.5000  7 B 1.79-1.86
B 0.9526 0.0474 0.5000  4 B 1.86
B 0.9526 0.4526 0.9051  4 B 1.86

Preferred: w; penalty for the next structure: 540 meV/atom.

w | MgBi2O4: optimized geometry, PBE.

Its crystal system is cubic. The value obtained for the volume is 225.7 Å³/cell.

Unit cell a=6.8339 b=6.8339 c=6.8339 alpha=60.00 beta=60.00 gamma=60.00
Last column: nearest neighbours and their distance in Å.
Positions (direct):
Mg 0.1250 0.1250 0.1250  4 O 2.08
Mg 0.8750 0.8750 0.8750  4 O 2.08
Bi 0.0000 0.5000 0.5000  6 O 2.42
Bi 0.5000 0.0000 0.5000  6 O 2.42
Bi 0.5000 0.5000 0.0000  6 O 2.42
Bi 0.5000 0.5000 0.5000  6 O 2.42
O 0.2483 0.7506 0.7506  1 Mg 2.08
O 0.2494 0.2494 0.2494  1 Mg 2.08
O 0.2494 0.2494 0.7517  1 Mg 2.08
O 0.2494 0.7517 0.2494  1 Mg 2.08
O 0.7506 0.2483 0.7506  1 Mg 2.08
O 0.7506 0.7506 0.2483  1 Mg 2.08
O 0.7506 0.7506 0.7506  1 Mg 2.08
O 0.7517 0.2494 0.2494  1 Mg 2.08

x | MgBi2O4: optimized geometry, PBE.

Its crystal system is orthorhombic. The value obtained for the volume is 206.4 Å³/cell.

Unit cell a=5.8687 b=5.8687 c=11.1843 alpha=90.00 beta=90.00 gamma=147.59
Last column: nearest neighbours and their distance in Å.
Positions (direct):
Mg 0.1112 0.8888 0.7500  2 O 2.12
Mg 0.8888 0.1112 0.2500  2 O 2.12
Bi 0.3680 0.6320 0.5801  6 O 2.36-2.47
Bi 0.3680 0.6320 0.9199  6 O 2.36-2.47
Bi 0.6320 0.3680 0.0801  6 O 2.36-2.47
Bi 0.6320 0.3680 0.4199  6 O 2.36-2.47
O 0.0000 0.0000 0.0000  4 Bi 2.39
O 0.0000 0.0000 0.5000  4 Bi 2.39
O 0.2835 0.7165 0.1241  3 Bi 2.42-2.47, 2 Mg 2.46
O 0.2835 0.7165 0.3759  3 Bi 2.42-2.47, 2 Mg 2.46
O 0.4923 0.5077 0.7500  2 Mg 2.12, 2 Bi 2.36
O 0.5077 0.4923 0.2500  2 Mg 2.12, 2 Bi 2.36
O 0.7165 0.2835 0.6241  3 Bi 2.42-2.47, 2 Mg 2.46
O 0.7165 0.2835 0.8759  3 Bi 2.42-2.47, 2 Mg 2.46

Preferred: w; penalty for the next structure: 82 meV/atom.

w | ReH3O5: optimized geometry, PBE.

Its crystal system is triclinic. The value obtained for the volume is 229.6 Å³/cell.

Unit cell a=6.0849 b=6.4931 c=7.0306 alpha=65.67 beta=66.93 gamma=88.76
Last column: nearest neighbours and their distance in Å.
Positions (direct):
Re 0.0000 0.0000 0.0000  4 O 1.74-1.77
Re 0.2592 0.7546 0.4760  4 O 1.72-1.85
H 0.3524 0.1886 0.2191  1 O 1.00
H 0.4263 0.5789 0.9127  1 O 1.00
H 0.4678 0.5654 0.1587  2 O 1.18-1.24
H 0.6710 0.5037 0.9328  1 O 0.99
H 0.7091 0.1714 0.6276  1 O 0.97
H 0.7751 0.2012 0.3822  1 O 0.98
O 0.0981 0.7636 0.1661  1 Re 1.76
O 0.2209 0.0536 0.3272  1 H 1.00
O 0.2415 0.2281 0.8284  1 Re 1.74
O 0.3880 0.7454 0.6590  1 Re 1.73, 1 H 1.77
O 0.4579 0.6397 0.2985  1 H 1.24
O 0.4957 0.4913 0.0253  2 H 0.99-1.00
O 0.7555 0.0850 0.1760  1 Re 1.77, 1 H 1.93
O 0.7595 0.2888 0.4704  2 H 0.97-0.98
O 0.9076 0.9253 0.8270  1 Re 1.75
O 0.9764 0.5886 0.6451  1 Re 1.72

x | ReH3O5: optimized geometry, PBE.

Its crystal system is triclinic. The calculation puts the largest piezoelectric modulus at 0.2 C/m2. The value obtained for the volume is 219.9 Å³/cell.

Unit cell a=5.9978 b=6.1072 c=7.1573 alpha=110.14 beta=114.68 gamma=90.73
Last column: nearest neighbours and their distance in Å.
Positions (direct):
Re 0.0000 0.0000 0.0000  4 O 1.73-1.77
Re 0.2357 0.7252 0.4997  4 O 1.73-1.78
H 0.3993 0.3541 0.9754  1 O 0.99
H 0.4749 0.5254 0.8584  1 O 1.05
H 0.6157 0.2952 0.4495  1 O 0.99
H 0.6823 0.5201 0.1209  1 O 1.03
H 0.7837 0.1683 0.6225  1 O 1.05
H 0.7982 0.1253 0.3726  1 O 1.02
O 0.0330 0.7169 0.8610  1 Re 1.73
O 0.2087 0.9982 0.6688  1 Re 1.75
O 0.2913 0.1923 0.1504  1 Re 1.76
O 0.3721 0.7817 0.3462  1 Re 1.73
O 0.4311 0.5746 0.6604  1 H 1.47
O 0.5018 0.4999 0.0033  3 H 0.99-1.05
O 0.7746 0.2376 0.5040  3 H 0.99-1.05
O 0.7909 0.1048 0.8029  1 H 1.45
O 0.8724 0.9831 0.1774  1 H 1.61, 1 Re 1.76
O 0.9369 0.5482 0.3143  1 H 1.53

Preferred: x; penalty for the next structure: 65 meV/atom.